# DyHg3 (PBE, relaxed)
# energy relative to the elements = -0.3488 eV per atom
# E = -1.73 eV/atom
data_DyHg3
_cell_length_a 6.6773
_cell_length_b 6.6773
_cell_length_c 5.0046
_cell_angle_alpha 90.00
_cell_angle_beta 90.00
_cell_angle_gamma 120.00
_symmetry_space_group_name_H-M 'P 63/m m c'
_symmetry_Int_Tables_number 194
_symmetry_space_group_name_Hall '-P 6c 2c'
loop_
_atom_site_label
_atom_site_type_symbol
_atom_site_fract_x
_atom_site_fract_y
_atom_site_fract_z
_atom_site_occupancy
Dy1 Dy 0.3333 0.6667 0.2500 1
Hg1 Hg 0.1664 0.3327 0.7500 1



# Dy3Hg (PBE, relaxed)
# energy relative to the elements = -0.1508 eV per atom
# E = -3.68 eV/atom
data_Dy3Hg
_cell_length_a 4.805
_cell_length_b 4.805
_cell_length_c 4.805
_cell_angle_alpha 90.00
_cell_angle_beta 90.00
_cell_angle_gamma 90.00
_symmetry_space_group_name_H-M 'P m -3 m'
_symmetry_Int_Tables_number 221
_symmetry_space_group_name_Hall '-P 4 2 3'
loop_
_atom_site_label
_atom_site_type_symbol
_atom_site_fract_x
_atom_site_fract_y
_atom_site_fract_z
_atom_site_occupancy
Dy1 Dy 0.000 0.000 0.500 1
Hg1 Hg 0.500 0.500 0.500 1